First-principles (PBE) data for a relaxed structure of Nd3CuSnSe7, as listed in the Materials Project database.

Properties
maximum piezoelectric response = 1.664 C/m²

a b c (Å): 10.6180 10.6180 6.3903
angles (deg): 90.00 90.00 120.00
Space group P6_3 (No. 173)
Asymmetric unit:
Nd 0.1385 0.7828 0.0000
Cu 0.0000 0.0000 0.0559
Sn 0.3333 0.6667 0.4233
Se 0.0837 0.5138 0.2486
Se 0.1029 0.8450 0.5409
Se 0.3333 0.6667 0.8190

***

First-principles (PBE) data for a relaxed structure of Ca2AlH10ClO8, as listed in the Materials Project database.

Properties
magnetization = 0.00 μB/f.u.

a b c (Å): 9.9004 5.7959 16.3049
angles (deg): 90.00 101.92 90.00
Space group Cc (No. 9)
Asymmetric unit:
Ca 0.0000 0.2487 0.0000
Ca 0.1924 0.2497 0.5769
Al 0.3460 0.2494 0.0384
H 0.2057 0.4901 0.9196
H 0.2111 0.1111 0.7605
H 0.2130 0.2219 0.1561
H 0.2344 0.0230 0.4204
H 0.3460 0.2588 0.7608
H 0.3477 0.2447 0.3163
H 0.4559 0.4780 0.6575
H 0.4795 0.2866 0.9200
H 0.4894 0.1169 0.3163
H 0.4905 0.0096 0.1571
Cl 0.0977 0.2487 0.2885
O 0.1982 0.4319 0.9745
O 0.2126 0.1519 0.1018
O 0.2482 0.2419 0.7339
O 0.2963 0.0301 0.4750
O 0.3952 0.4706 0.6024
O 0.4462 0.2406 0.3430
O 0.4794 0.3493 0.9753
O 0.4941 0.0675 0.1017

***

First-principles (PBE) data for a relaxed structure of La2PbS4, as listed in the Materials Project database.

a b c (Å): 8.8275 8.8275 8.7842
angles (deg): 90.00 90.00 90.00
Space group I-42d (No. 122)
Asymmetric unit:
La 0.1347 0.2500 0.1250
Pb 0.0000 0.0000 0.5000
S 0.0746 0.1728 0.8083

***

First-principles (PBE) data for a relaxed structure of MgH2Se2O6, as listed in the Materials Project database.

Properties
magnetization = 0.00 μB/f.u.

a b c (Å): 5.6894 5.3266 10.8008
angles (deg): 90.00 120.94 90.00
Space group P2_1/c (No. 14)
Asymmetric unit:
Mg 0.0000 0.0000 0.0000
H 0.2986 0.0454 0.5284
Se 0.3167 0.6802 0.3352
O 0.1701 0.5825 0.7171
O 0.2502 0.7468 0.9692
O 0.3188 0.2211 0.5700

***

Number 1: mass density 6.215 g/cm3, calculated total energy -5.21 eV per atom, calculated volume 623.94 Å³ per cell. Number 2: mass density 2.036 g/cm3, calculated total energy -5.43 eV per atom, calculated volume 915.43 Å³ per cell. Number 3: mass density 5.951 g/cm3, calculated total energy -6.00 eV per atom, calculated volume 684.50 Å³ per cell. Number 4: mass density 3.315 g/cm3, calculated total energy -5.35 eV per atom, calculated volume 280.73 Å³ per cell.